Entry 1:
Density functional theory data (PBE) for a relaxed structure of AlH18C3N9F6.

The structure in POSCAR format:
```
AlH18C3N9F6
1.0
-5.886 -12.697 -1.524
12.714 -5.991 0.812
-1.381 -1.037 13.972
H N C F Al
144 72 24 48 8
Cartesian
1.797 -11.556 10.158
3.377 -15.577 -0.379
-2.105 -7.968 11.100
1.521 -8.121 1.854
4.352 -11.093 8.985
-1.067 -2.411 10.208
3.926 -11.605 11.405
1.054 -13.730 1.231
8.497 -9.640 13.653
0.632 -11.694 -0.717
0.668 -14.547 2.732
7.256 -10.443 6.820
-3.333 -14.832 7.207
-0.633 -5.905 6.036
1.752 -11.329 1.451
2.769 -16.116 6.384
0.849 -13.594 4.765
4.417 -5.189 5.026
-1.663 -14.651 3.534
0.719 -14.453 11.773
-3.239 -5.766 9.691
1.723 -12.140 8.508
-0.200 -7.951 8.010
6.654 -10.967 13.585
7.176 -12.293 4.583
7.198 -12.985 11.295
-4.804 -13.296 1.247
3.865 -12.762 6.702
8.555 -5.773 9.036
-1.729 -7.433 8.677
11.668 -7.581 3.937
8.983 -5.131 2.034
7.901 -15.090 5.351
10.251 -6.430 12.012
7.471 -12.656 9.600
1.132 -2.863 6.549
5.894 -11.637 8.356
-4.871 -13.222 2.992
6.823 -15.047 -0.355
-1.462 -13.382 6.511
1.386 -9.063 9.195
7.050 -4.928 12.230
6.972 -16.555 5.142
0.643 -15.392 9.706
4.961 -16.305 -0.506
-3.646 -10.522 6.039
9.485 -10.945 3.525
7.110 -5.075 9.725
10.360 -5.763 2.903
-1.651 -15.625 8.478
3.614 -9.022 10.180
8.686 -13.959 3.568
4.315 -16.862 6.711
4.728 -5.273 1.487
-0.779 -8.776 11.912
-6.221 -12.144 9.323
1.369 -11.934 4.931
-3.536 -14.595 11.226
11.261 -8.428 1.890
-0.669 -4.159 6.062
8.448 -5.580 13.061
10.250 -5.593 5.404
-0.270 -10.044 6.764
7.080 -16.544 1.590
4.394 -5.996 12.028
-1.751 -6.741 1.965
6.116 -15.567 7.198
-2.994 -11.816 -0.617
-3.000 -14.145 0.198
10.331 -9.894 1.697
-1.367 -6.417 13.399
4.318 -10.326 2.369
4.815 -8.032 13.977
4.804 -4.334 3.553
10.318 -6.503 10.268
-1.376 -4.679 13.614
1.095 -8.633 4.274
2.678 -3.610 6.875
1.030 -14.536 8.234
-4.803 -14.133 7.855
9.093 -9.204 7.220
3.650 -8.169 3.101
2.545 -13.875 6.402
7.181 -4.181 3.037
4.548 -12.255 0.096
6.226 -10.949 1.347
-2.454 -4.636 7.908
2.261 -6.383 13.279
9.101 -7.452 7.264
-0.705 -12.819 -0.846
4.598 -6.131 8.494
7.552 -11.757 2.160
3.695 -8.396 11.809
-3.654 -12.273 5.996
2.070 -4.149 13.639
6.080 -13.821 7.224
7.098 -4.100 4.781
3.186 -13.342 -0.019
1.582 -6.964 6.557
-1.809 -9.282 6.439
4.209 -6.932 1.304
-1.207 -8.758 -0.326
6.814 -13.308 -0.139
-4.884 -9.831 11.562
-3.009 -5.257 11.352
5.219 -12.417 12.253
8.456 -14.469 1.908
2.902 -5.851 6.857
5.647 -11.775 5.250
-4.913 -13.963 10.357
-0.447 -8.089 4.903
6.152 -6.906 14.105
11.127 -8.325 5.428
-5.814 -11.298 11.370
-3.108 -13.953 4.223
-1.734 -15.544 10.222
-4.298 -9.322 8.094
-1.602 -14.797 1.029
-1.525 -3.170 8.117
3.724 -7.586 4.752
1.238 -12.794 11.956
0.486 -3.420 13.765
0.228 -7.309 1.007
1.129 -9.399 10.891
6.514 -17.315 3.051
-1.633 -3.182 11.669
6.909 -6.344 6.749
4.078 -7.792 8.328
4.779 -5.179 10.527
5.717 -9.682 6.496
5.567 -7.416 6.436
-5.680 -11.401 7.831
5.064 -10.254 13.710
9.745 -10.404 5.165
0.383 -9.471 -0.451
4.061 -10.663 4.064
-2.024 -7.070 3.659
0.899 -7.470 13.164
-0.120 -12.309 6.824
-3.049 -10.085 -0.393
8.780 -4.893 6.052
-4.038 -8.781 9.734
8.441 -7.909 13.876
1.833 -10.704 3.079
6.227 -11.940 4.430
0.926 -13.690 2.246
6.570 -7.289 6.549
-3.947 -14.303 10.342
1.531 -11.440 2.444
4.645 -10.757 3.234
1.055 -4.251 13.601
9.394 -5.423 2.918
1.256 -6.511 13.174
-3.153 -11.401 6.184
4.395 -5.150 4.003
6.930 -16.502 2.602
3.516 -13.724 6.671
5.817 -7.857 13.928
-0.370 -11.869 -0.668
4.191 -13.215 0.085
4.811 -12.117 11.369
11.122 -8.302 4.405
-0.628 -9.594 -0.401
-2.005 -3.968 8.535
-2.502 -10.943 -0.407
6.075 -10.131 13.660
5.230 -11.599 9.128
9.792 -6.284 11.113
-4.347 -9.514 9.099
6.594 -11.398 2.185
8.600 -8.324 7.075
9.310 -5.220 5.246
7.979 -5.600 9.858
-5.674 -11.423 8.854
1.073 -13.596 11.347
-2.499 -14.305 1.071
-0.122 -5.017 6.056
7.452 -15.757 4.725
4.374 -6.130 1.912
0.802 -8.969 10.026
6.844 -12.636 10.404
-1.123 -12.436 6.711
-2.532 -14.126 3.402
7.946 -5.421 12.189
7.949 -8.782 13.667
0.217 -8.127 4.132
-1.483 -3.224 10.658
5.569 -14.708 7.203
-1.397 -7.089 2.856
-2.805 -5.129 10.357
1.651 -12.329 9.511
-4.345 -13.442 2.146
-0.851 -5.535 13.441
10.708 -9.173 2.312
-1.270 -10.135 6.588
3.796 -7.396 3.749
1.931 -6.002 6.589
4.330 -7.011 8.935
7.594 -4.404 3.943
6.299 -14.191 -0.182
4.392 -15.475 -0.341
-2.147 -15.321 9.316
0.636 -7.608 1.890
3.749 -16.016 6.648
3.916 -8.286 10.815
-0.780 -7.785 8.830
4.521 -6.036 11.014
-1.147 -8.328 11.075
9.794 -10.212 4.161
8.252 -14.596 2.902
-3.863 -14.506 8.014
6.717 -9.590 6.671
1.052 -14.575 9.257
1.117 -12.714 4.324
1.698 -3.710 6.612
-5.261 -10.552 10.947
-1.852 -11.337 6.485
0.482 -5.445 13.412
4.286 -14.804 6.834
-3.335 -14.712 9.224
5.838 -11.363 3.286
7.553 -15.622 3.397
-5.100 -10.490 9.620
-0.173 -7.621 2.957
1.201 -12.616 2.992
4.246 -7.110 10.267
8.782 -5.014 4.036
4.965 -14.280 -0.153
7.299 -8.389 6.775
1.252 -13.497 10.024
-3.117 -13.971 2.208
5.620 -12.104 10.302
10.547 -9.235 3.640
-0.391 -8.362 9.974
1.161 -4.922 6.426
-1.173 -10.813 -0.502
8.564 -5.754 11.052
6.620 -8.913 13.762
4.195 -6.229 3.235
-2.106 -4.103 9.863
9.504 -11.064 6.899
1.628 -11.339 6.833
-0.632 -1.141 8.726
3.963 -5.447 13.752
-4.187 -13.205 -1.002
0.593 -9.316 13.160
7.190 -16.940 -0.235
3.122 -8.993 1.435
7.744 -4.150 0.809
8.855 -11.603 13.778
1.268 -8.760 6.920
2.287 -10.808 -0.264
-3.366 -6.779 8.051
5.660 -3.263 2.098
6.520 -17.495 6.859
-4.057 -8.662 6.361
1.484 -14.278 -0.492
6.653 -12.976 13.528
-3.408 -8.122 -0.519
-0.213 -16.463 11.161
3.160 -8.918 13.524
6.079 -18.584 4.533
4.601 -4.932 6.869
2.374 -9.870 4.814
-2.297 -15.575 12.450
-4.771 -13.566 5.263
-0.162 -15.598 4.125
3.073 -9.856 8.446
7.184 -4.522 7.075
-1.206 -6.750 -0.268
8.813 -12.946 5.208
0.846 -14.794 6.390
-6.650 -13.384 10.740
4.855 -10.410 0.099
12.097 -6.342 2.519
-1.743 -2.786 13.494
9.634 -6.521 14.261
10.218 -6.160 7.997
3.819 -8.386 6.427
7.305 -12.408 7.286
-1.858 -7.317 5.974
-1.073 -2.231 6.400
-1.737 -15.203 6.185
4.179 -10.966 6.340
9.366 -11.977 1.818
2.325 -10.733 11.824
5.609 -4.128 9.135
-3.919 -7.748 11.442
2.724 -9.863 6.630
0.000 0.000 0.000
6.357 -2.996 0.406
-0.690 -0.518 6.986
-2.943 -6.349 -0.762
3.414 -9.344 -0.356
-3.633 -6.867 6.224
5.667 -3.514 7.392
```

Results
Total DFT energy (no corrections)   -5.7512 eV/atom
Energy of formation from the pure elements   -0.988 eV per atom
Corrected total energy (MP2020 scheme)   -0.428 Ry per atom
SG   Pa-3 (205)
Magnetization   0.000 μB per formula unit

Entry 2:
Density functional theory data (PBE) for a relaxed structure of Na7Sc3NbSi3P3O24.

The structure in POSCAR format:
```
Na7Sc3NbSi3P3O24
1.0
9.134 0.006 -0.003
-4.562 7.887 -0.001
-0.006 -0.006 22.706
O P Na Si Sc Nb
72 9 21 9 9 3
Cartesian
2.968 2.596 16.965
2.938 2.417 0.581
5.242 6.259 18.254
1.008 1.264 1.979
3.907 0.995 14.449
8.146 1.270 13.320
5.581 1.357 0.627
3.500 1.245 11.973
5.584 1.258 16.913
5.210 4.184 0.666
-1.027 3.943 19.530
-0.640 1.493 20.662
1.679 5.435 5.755
1.199 3.876 8.125
0.626 6.745 1.737
-0.679 3.732 5.758
-1.648 5.431 17.244
-1.061 6.729 22.098
6.291 2.877 14.579
-0.673 3.624 22.133
-0.660 6.839 19.604
3.489 6.460 4.403
2.724 7.558 15.776
2.950 7.772 9.300
-1.715 5.069 1.722
-3.661 6.548 9.304
1.791 0.236 6.905
-1.793 4.913 8.127
3.461 3.994 14.563
7.373 0.212 18.256
5.218 6.303 1.986
3.580 6.474 20.638
-2.843 7.761 20.667
0.698 1.447 9.300
1.603 5.103 13.141
-1.777 5.544 10.786
3.489 3.926 20.954
-3.416 6.427 15.757
7.531 0.200 1.977
5.187 1.188 9.640
1.005 6.582 17.272
-0.985 6.611 5.756
3.876 6.225 6.905
-0.980 3.977 13.140
0.954 3.961 1.751
1.696 0.222 13.348
1.807 5.455 22.075
3.576 1.273 5.554
0.588 1.715 15.737
6.222 2.399 11.962
1.710 5.020 19.577
1.129 6.654 10.782
-0.700 1.659 4.415
5.206 0.999 3.206
6.241 2.479 5.538
8.022 1.438 6.904
-2.776 7.658 4.408
0.606 6.975 8.125
1.042 1.424 18.391
3.887 1.101 20.962
0.639 3.838 17.281
3.984 6.399 13.333
2.830 2.921 3.190
6.126 2.852 20.978
3.921 4.164 11.959
2.997 2.780 9.650
5.337 4.162 16.938
-0.682 6.825 13.107
0.640 3.574 10.771
5.506 3.901 9.633
5.687 4.044 3.145
3.896 4.165 5.549
-1.883 7.882 5.664
1.888 7.883 17.049
3.230 5.576 5.660
-1.333 7.535 20.838
-3.234 5.601 17.040
5.898 4.915 1.888
-1.344 2.325 5.670
2.667 5.272 20.821
3.241 0.332 13.241
1.609 2.346 20.767
1.664 2.901 5.709
-1.655 7.631 1.900
4.550 7.888 11.344
1.692 7.592 13.209
7.523 2.376 9.460
-1.173 2.624 1.869
1.222 7.878 5.709
3.303 5.306 9.460
4.562 2.626 7.584
2.948 4.976 16.964
2.877 0.214 9.462
4.561 2.579 18.843
2.858 5.524 1.904
-2.882 5.006 5.733
1.183 2.670 13.253
0.029 5.262 3.774
-0.009 5.274 15.030
7.448 2.822 16.938
-2.876 5.503 13.235
4.519 7.878 22.645
7.247 2.642 13.294
1.345 2.935 9.459
1.898 2.638 1.888
5.902 0.301 1.919
-2.668 5.268 9.466
1.338 7.573 9.466
1.383 2.268 17.057
-1.352 2.933 20.847
3.217 4.957 13.282
4.533 2.612 4.140
0.005 5.259 7.272
9.114 0.021 19.334
-0.024 0.033 14.724
-0.010 0.035 3.355
4.566 7.891 8.027
0.015 5.228 11.725
0.032 5.238 0.379
4.519 2.611 15.528
4.600 2.664 10.919
4.615 2.582 22.238
-0.048 5.235 18.478
```

Results
Total DFT energy (no corrections)   -7.2381 eV/atom
Energy of formation from the pure elements   -3.015 eV per atom
Corrected total energy (MP2020 scheme)   -0.562 Ry per atom
SG   P1 (1)
Magnetization   0.000 μB per formula unit